# 1
DFT (PBE with a Hubbard U) results for a geometry-optimized Ba2ScFeAsO3 structure.

Computed properties:
ΔH_f (0 K) = -2444 meV/atom
Symmetry = No. 27

a = 5.989 Å, b = 5.968 Å, c = 17.149 Å
α = 90.00°, β = 90.00°, γ = 90.00°
Positions (direct):
Ba1 0.250 0.000 0.585
Ba2 0.750 0.000 0.415
Ba3 0.750 0.498 0.808
Ba4 0.250 0.500 0.415
Ba5 0.750 0.998 0.192
Ba6 0.250 0.499 0.192
Ba7 0.250 0.999 0.808
Ba8 0.750 0.500 0.585
Fe1 0.000 0.247 0.000
Fe2 0.500 0.262 0.000
Fe3 0.000 0.747 0.000
Fe4 0.500 0.762 0.000
O1 0.000 0.750 0.295
O2 0.000 0.750 0.705
O3 0.750 0.500 0.429
O4 0.500 0.250 0.705
O5 0.250 0.500 0.571
O6 0.750 0.000 0.571
O7 0.500 0.250 0.295
O8 0.000 0.250 0.705
O9 0.500 0.750 0.705
O10 0.000 0.250 0.295
O11 0.500 0.750 0.295
O12 0.250 0.000 0.429
Sc1 0.750 0.000 0.687
Sc2 0.750 0.500 0.313
Sc3 0.250 0.500 0.687
Sc4 0.250 0.000 0.313
As1 0.749 0.498 0.089
As2 0.251 0.498 0.911
As3 0.749 0.998 0.911
As4 0.251 0.998 0.089


# 2
DFT (PBE with a Hubbard U) results for a geometry-optimized Mg3Cr2Si3O12 structure.

Computed properties:
ΔH_f (0 K) = -2969 meV/atom
Symmetry = No. 230

a = 10.184 Å, b = 10.184 Å, c = 10.184 Å
α = 109.47°, β = 109.47°, γ = 109.47°
Positions (direct):
Cr1 0.000 0.500 0.000
Cr2 0.500 0.500 0.000
Cr3 0.000 0.000 0.000
Cr4 0.500 0.500 0.500
Cr5 0.500 0.000 0.000
Cr6 0.000 0.000 0.500
Cr7 0.000 0.500 0.500
Cr8 0.500 0.000 0.500
Mg1 0.125 0.375 0.750
Mg2 0.625 0.875 0.750
Mg3 0.250 0.875 0.625
Mg4 0.125 0.250 0.375
Mg5 0.875 0.750 0.625
Mg6 0.375 0.125 0.250
Mg7 0.750 0.125 0.375
Mg8 0.625 0.250 0.875
Mg9 0.750 0.625 0.875
Mg10 0.250 0.375 0.125
Mg11 0.875 0.625 0.250
Mg12 0.375 0.750 0.125
O1 0.624 0.412 0.104
O2 0.104 0.624 0.412
O3 0.588 0.191 0.211
O4 0.020 0.309 0.896
O5 0.980 0.789 0.876
O6 0.876 0.396 0.088
O7 0.191 0.480 0.604
O8 0.711 0.691 0.088
O9 0.789 0.412 0.809
O10 0.396 0.088 0.876
O11 0.211 0.124 0.020
O12 0.309 0.896 0.020
O13 0.191 0.211 0.588
O14 0.124 0.604 0.912
O15 0.588 0.896 0.376
O16 0.480 0.376 0.289
O17 0.020 0.211 0.124
O18 0.691 0.104 0.980
O19 0.711 0.520 0.624
O20 0.604 0.191 0.480
O21 0.088 0.711 0.691
O22 0.691 0.088 0.711
O23 0.396 0.809 0.520
O24 0.604 0.912 0.124
O25 0.520 0.396 0.809
O26 0.309 0.912 0.289
O27 0.480 0.604 0.191
O28 0.376 0.588 0.896
O29 0.896 0.376 0.588
O30 0.104 0.980 0.691
O31 0.624 0.711 0.520
O32 0.896 0.020 0.309
O33 0.412 0.809 0.789
O34 0.876 0.980 0.789
O35 0.520 0.624 0.711
O36 0.124 0.020 0.211
O37 0.088 0.876 0.396
O38 0.412 0.104 0.624
O39 0.211 0.588 0.191
O40 0.912 0.124 0.604
O41 0.289 0.480 0.376
O42 0.376 0.289 0.480
O43 0.912 0.289 0.309
O44 0.980 0.691 0.104
O45 0.289 0.309 0.912
O46 0.789 0.876 0.980
O47 0.809 0.520 0.396
O48 0.809 0.789 0.412
Si1 0.875 0.250 0.125
Si2 0.125 0.750 0.875
Si3 0.125 0.875 0.250
Si4 0.875 0.125 0.750
Si5 0.625 0.750 0.375
Si6 0.375 0.625 0.750
Si7 0.750 0.375 0.625
Si8 0.625 0.375 0.250
Si9 0.250 0.125 0.875
Si10 0.375 0.250 0.625
Si11 0.750 0.875 0.125
Si12 0.250 0.625 0.375


One value per record, in order, for size of the total moment: 0.000 24.000 μB/cell.